Material: NaLaSiGeS2O12
Method: DFT, GGA-PBE
State: relaxed

ρ	2983	kg/m3
total magnetic moment	0.00	μB per cell
ΔE_f	-42.808	eV/f.u.
DFT total energy	-0.242	hartree per atom

Cell lengths 15.8225, 9.3376, 23.6074 Å; angles 90.00, 96.50, 90.00 degrees
Space group Cc (No. 9)
One atom of each set of equivalent atoms:
Na 0.0000 0.0097 0.0000 (multiplicity 4)
Na 0.1639 0.4501 0.3269 (multiplicity 4)
Na 0.3398 0.0134 0.1570 (multiplicity 4)
La 0.0285 0.0072 0.3542 (multiplicity 4)
La 0.1952 0.4968 0.1819 (multiplicity 4)
La 0.3583 0.0060 0.0161 (multiplicity 4)
Si 0.1646 0.1221 0.2429 (multiplicity 4)
Si 0.3431 0.3744 0.0786 (multiplicity 4)
Si 0.3529 0.2917 0.4088 (multiplicity 4)
Ge 0.0144 0.0410 0.1391 (multiplicity 4)
Ge 0.2202 0.4792 0.4635 (multiplicity 4)
Ge 0.3511 0.0748 0.2954 (multiplicity 4)
S 0.0090 0.2943 0.7432 (multiplicity 4)
S 0.0157 0.3889 0.4096 (multiplicity 4)
S 0.0422 0.3186 0.0765 (multiplicity 4)
S 0.1771 0.2098 0.5667 (multiplicity 4)
S 0.2165 0.1977 0.9064 (multiplicity 4)
S 0.3956 0.3085 0.7312 (multiplicity 4)
O 0.0155 0.2106 0.7956 (multiplicity 4)
O 0.0342 0.2340 0.4063 (multiplicity 4)
O 0.0502 0.1515 0.0804 (multiplicity 4)
O 0.0744 0.4057 0.7445 (multiplicity 4)
O 0.0793 0.3574 0.0257 (multiplicity 4)
O 0.0857 0.3737 0.1300 (multiplicity 4)
O 0.0979 0.1271 0.5597 (multiplicity 4)
O 0.1013 0.4702 0.4182 (multiplicity 4)
O 0.1106 0.0430 0.1845 (multiplicity 4)
O 0.1238 0.0811 0.2993 (multiplicity 4)
O 0.1259 0.1564 0.9045 (multiplicity 4)
O 0.1791 0.3041 0.5135 (multiplicity 4)
O 0.1814 0.2982 0.6188 (multiplicity 4)
O 0.1825 0.2920 0.2380 (multiplicity 4)
O 0.2211 0.3630 0.9087 (multiplicity 4)
O 0.2518 0.1092 0.5726 (multiplicity 4)
O 0.2564 0.1547 0.8566 (multiplicity 4)
O 0.2591 0.3758 0.4087 (multiplicity 4)
O 0.2598 0.1447 0.9606 (multiplicity 4)
O 0.2629 0.0367 0.2459 (multiplicity 4)
O 0.2858 0.4139 0.1278 (multiplicity 4)
O 0.3000 0.4483 0.0149 (multiplicity 4)
O 0.3070 0.3577 0.7254 (multiplicity 4)
O 0.3378 0.2064 0.3440 (multiplicity 4)
O 0.3592 0.1784 0.4586 (multiplicity 4)
O 0.3621 0.2056 0.0746 (multiplicity 4)
O 0.4015 0.1531 0.7277 (multiplicity 4)
O 0.4191 0.1240 0.2420 (multiplicity 4)
O 0.4294 0.4057 0.4095 (multiplicity 4)
O 0.4368 0.3686 0.6796 (multiplicity 4)
O 0.4384 0.3680 0.7838 (multiplicity 4)
O 0.4399 0.4567 0.0890 (multiplicity 4)
O 0.4510 0.1496 0.5773 (multiplicity 4)
O 0.4669 0.0836 0.9572 (multiplicity 4)
O 0.4741 0.0571 0.8536 (multiplicity 4)
O 0.4964 0.2862 0.1902 (multiplicity 4)

Material: Na10La4Si7Ge4S5O48
Method: DFT, GGA-PBE
State: relaxed

ρ	3119	kg/m3
total magnetic moment	0.00	μB per cell
ΔE_f	-197.378	eV/f.u.
DFT total energy	-0.241	hartree per atom

Cell lengths 9.6843, 16.0056, 22.8537 Å; angles 82.99, 89.92, 89.73 degrees
Space group P1 (No. 1)
One atom of each set of equivalent atoms:
Na 0.0000 0.0000 0.0000 (multiplicity 1)
Na 0.0002 0.3108 0.6829 (multiplicity 1)
Na 0.0032 0.9845 0.3469 (multiplicity 1)
Na 0.0052 0.3401 0.3325 (multiplicity 1)
Na 0.0329 0.0009 0.6675 (multiplicity 1)
Na 0.1755 0.4752 0.9139 (multiplicity 1)
Na 0.1769 0.1477 0.0865 (multiplicity 1)
Na 0.1836 0.8127 0.7495 (multiplicity 1)
Na 0.1974 0.8121 0.2436 (multiplicity 1)
Na 0.1996 0.4743 0.4155 (multiplicity 1)
Na 0.2110 0.1598 0.5814 (multiplicity 1)
Na 0.3553 0.3181 0.1797 (multiplicity 1)
Na 0.3707 0.0155 0.5003 (multiplicity 1)
Na 0.3727 0.6527 0.5108 (multiplicity 1)
Na 0.4950 0.1505 0.0073 (multiplicity 1)
Na 0.5002 0.5040 0.9979 (multiplicity 1)
Na 0.5026 0.8128 0.6826 (multiplicity 1)
Na 0.5341 0.4989 0.6685 (multiplicity 1)
Na 0.5343 0.8395 0.9999 (multiplicity 1)
Na 0.5404 0.1669 0.3319 (multiplicity 1)
Na 0.6790 0.6525 0.0826 (multiplicity 1)
Na 0.6813 0.9687 0.4133 (multiplicity 1)
Na 0.6847 0.3103 0.7491 (multiplicity 1)
Na 0.6902 0.9805 0.9125 (multiplicity 1)
Na 0.6937 0.3152 0.2458 (multiplicity 1)
Na 0.7057 0.6587 0.5902 (multiplicity 1)
Na 0.8385 0.5016 0.1605 (multiplicity 1)
Na 0.8566 0.1497 0.5123 (multiplicity 1)
Na 0.8607 0.8126 0.1799 (multiplicity 1)
Na 0.8677 0.5035 0.5004 (multiplicity 1)
La 0.1758 0.5039 0.0623 (multiplicity 1)
La 0.1788 0.8266 0.3986 (multiplicity 1)
La 0.1816 0.1540 0.2312 (multiplicity 1)
La 0.1822 0.1543 0.7414 (multiplicity 1)
La 0.1853 0.4897 0.5720 (multiplicity 1)
La 0.1939 0.8378 0.8986 (multiplicity 1)
La 0.6648 0.3395 0.3989 (multiplicity 1)
La 0.6763 0.9935 0.0768 (multiplicity 1)
La 0.6784 0.6537 0.7423 (multiplicity 1)
La 0.6838 0.6557 0.2392 (multiplicity 1)
La 0.6874 0.9899 0.5715 (multiplicity 1)
La 0.6946 0.3370 0.8946 (multiplicity 1)
Si 0.0573 0.9819 0.4997 (multiplicity 1)
Si 0.0582 0.3168 0.8298 (multiplicity 1)
Si 0.0586 0.6476 0.1725 (multiplicity 1)
Si 0.3060 0.3118 0.3305 (multiplicity 1)
Si 0.3073 0.6481 0.6675 (multiplicity 1)
Si 0.3109 0.9808 0.0043 (multiplicity 1)
Si 0.3779 0.9935 0.6649 (multiplicity 1)
Si 0.3849 0.3253 0.0019 (multiplicity 1)
Si 0.4834 0.8265 0.5036 (multiplicity 1)
Si 0.4871 0.4935 0.1648 (multiplicity 1)
Si 0.5544 0.4853 0.5046 (multiplicity 1)
Si 0.5601 0.8172 0.8304 (multiplicity 1)
Si 0.5632 0.1532 0.1663 (multiplicity 1)
Si 0.8043 0.4822 0.0023 (multiplicity 1)
Si 0.8086 0.1468 0.6680 (multiplicity 1)
Si 0.8095 0.8189 0.3305 (multiplicity 1)
Si 0.8776 0.4923 0.6650 (multiplicity 1)
Si 0.8789 0.1608 0.3375 (multiplicity 1)
Si 0.8828 0.8271 0.0039 (multiplicity 1)
Si 0.9821 0.3264 0.4990 (multiplicity 1)
Si 0.9890 0.9906 0.1647 (multiplicity 1)
Ge 0.1214 0.1773 0.4395 (multiplicity 1)
Ge 0.1238 0.8409 0.1073 (multiplicity 1)
Ge 0.1315 0.5057 0.7687 (multiplicity 1)
Ge 0.1806 0.1842 0.9532 (multiplicity 1)
Ge 0.2406 0.5064 0.2693 (multiplicity 1)
Ge 0.2420 0.8426 0.6070 (multiplicity 1)
Ge 0.6227 0.3438 0.1066 (multiplicity 1)
Ge 0.6281 0.0070 0.7689 (multiplicity 1)
Ge 0.6873 0.6856 0.4547 (multiplicity 1)
Ge 0.7234 0.6805 0.9441 (multiplicity 1)
Ge 0.7375 0.3414 0.6062 (multiplicity 1)
Ge 0.7413 0.0121 0.2693 (multiplicity 1)
S 0.0049 0.6809 0.5021 (multiplicity 1)
S 0.0115 0.3510 0.1753 (multiplicity 1)
S 0.3601 0.3466 0.6739 (multiplicity 1)
S 0.3664 0.6849 0.0023 (multiplicity 1)
S 0.3668 0.0128 0.3437 (multiplicity 1)
S 0.3729 0.6490 0.3384 (multiplicity 1)
S 0.4872 0.5092 0.8364 (multiplicity 1)
S 0.4949 0.1512 0.8380 (multiplicity 1)
S 0.5067 0.8460 0.1678 (multiplicity 1)
S 0.5148 0.1822 0.5024 (multiplicity 1)
S 0.8598 0.1805 0.0002 (multiplicity 1)
S 0.8601 0.8453 0.6736 (multiplicity 1)
S 0.8724 0.5103 0.3399 (multiplicity 1)
S 0.9847 0.6520 0.8391 (multiplicity 1)
S 0.9931 0.0092 0.8379 (multiplicity 1)
O 0.0143 0.8496 0.6761 (multiplicity 1)
O 0.0229 0.1735 0.0018 (multiplicity 1)
O 0.0244 0.5037 0.3457 (multiplicity 1)
O 0.0334 0.0538 0.7791 (multiplicity 1)
O 0.0393 0.7211 0.4443 (multiplicity 1)
O 0.0444 0.7248 0.5527 (multiplicity 1)
O 0.0476 0.9218 0.8339 (multiplicity 1)
O 0.0559 0.5853 0.1193 (multiplicity 1)
O 0.0568 0.0478 0.8873 (multiplicity 1)
O 0.0587 0.5938 0.5048 (multiplicity 1)
O 0.0597 0.5672 0.8362 (multiplicity 1)
O 0.0610 0.3918 0.2267 (multiplicity 1)
O 0.0632 0.3969 0.1192 (multiplicity 1)
O 0.0657 0.8939 0.1701 (multiplicity 1)
O 0.0676 0.2644 0.1736 (multiplicity 1)
O 0.0694 0.2333 0.5016 (multiplicity 1)
O 0.0786 0.9347 0.4417 (multiplicity 1)
O 0.0815 0.4075 0.5007 (multiplicity 1)
O 0.0862 0.7190 0.8419 (multiplicity 1)
O 0.0942 0.2718 0.7722 (multiplicity 1)
O 0.1006 0.0644 0.1656 (multiplicity 1)
O 0.1354 0.4136 0.8226 (multiplicity 1)
O 0.1356 0.2564 0.8911 (multiplicity 1)
O 0.1391 0.7402 0.1565 (multiplicity 1)
O 0.1420 0.5915 0.2311 (multiplicity 1)
O 0.1434 0.0773 0.4905 (multiplicity 1)
O 0.1476 0.9248 0.5594 (multiplicity 1)
O 0.2091 0.2575 0.3887 (multiplicity 1)
O 0.2129 0.9268 0.0609 (multiplicity 1)
O 0.2217 0.0754 0.9886 (multiplicity 1)
O 0.2244 0.5886 0.7255 (multiplicity 1)
O 0.2251 0.7433 0.6567 (multiplicity 1)
O 0.2316 0.4100 0.3226 (multiplicity 1)
O 0.2556 0.0626 0.6697 (multiplicity 1)
O 0.2650 0.7156 0.3349 (multiplicity 1)
O 0.2813 0.2666 0.2720 (multiplicity 1)
O 0.2867 0.4082 0.9980 (multiplicity 1)
O 0.2876 0.2344 0.0038 (multiplicity 1)
O 0.2981 0.5988 0.6097 (multiplicity 1)
O 0.2993 0.8968 0.6686 (multiplicity 1)
O 0.3005 0.4010 0.7158 (multiplicity 1)
O 0.3001 0.5621 0.3348 (multiplicity 1)
O 0.3092 0.2583 0.6821 (multiplicity 1)
O 0.3107 0.7247 0.0520 (multiplicity 1)
O 0.3121 0.9214 0.9521 (multiplicity 1)
O 0.3117 0.9260 0.3407 (multiplicity 1)
O 0.3136 0.0514 0.3953 (multiplicity 1)
O 0.3155 0.3769 0.6122 (multiplicity 1)
O 0.3168 0.0607 0.2882 (multiplicity 1)
O 0.3215 0.7257 0.9443 (multiplicity 1)
O 0.3250 0.5952 0.0022 (multiplicity 1)
O 0.3348 0.5133 0.8414 (multiplicity 1)
O 0.3558 0.8411 0.1749 (multiplicity 1)
O 0.3626 0.1717 0.5069 (multiplicity 1)
O 0.3715 0.8197 0.4531 (multiplicity 1)
O 0.3835 0.4814 0.2253 (multiplicity 1)
O 0.3952 0.8295 0.8405 (multiplicity 1)
O 0.3962 0.5104 0.5171 (multiplicity 1)
O 0.3957 0.8128 0.5684 (multiplicity 1)
O 0.3976 0.5007 0.1054 (multiplicity 1)
O 0.4019 0.1747 0.1808 (multiplicity 1)
O 0.4037 0.1651 0.7860 (multiplicity 1)
O 0.4202 0.1390 0.8944 (multiplicity 1)
O 0.4464 0.6395 0.3952 (multiplicity 1)
O 0.4598 0.0010 0.6033 (multiplicity 1)
O 0.4634 0.6621 0.2864 (multiplicity 1)
O 0.4700 0.0052 0.0172 (multiplicity 1)
O 0.4699 0.3173 0.3422 (multiplicity 1)
O 0.4711 0.6658 0.6806 (multiplicity 1)
O 0.4724 0.3134 0.0672 (multiplicity 1)
O 0.4871 0.9815 0.7224 (multiplicity 1)
O 0.4984 0.3188 0.9519 (multiplicity 1)
O 0.5143 0.3499 0.6773 (multiplicity 1)
O 0.5201 0.0146 0.3441 (multiplicity 1)
O 0.5244 0.6894 0.0047 (multiplicity 1)
O 0.5283 0.5511 0.7766 (multiplicity 1)
O 0.5383 0.4211 0.8346 (multiplicity 1)
O 0.5413 0.8739 0.1041 (multiplicity 1)
O 0.5515 0.2185 0.4414 (multiplicity 1)
O 0.5538 0.5501 0.8842 (multiplicity 1)
O 0.5646 0.3966 0.1689 (multiplicity 1)
O 0.5697 0.0654 0.8327 (multiplicity 1)
O 0.5706 0.2307 0.5480 (multiplicity 1)
O 0.5712 0.9022 0.2069 (multiplicity 1)
O 0.5729 0.4347 0.4494 (multiplicity 1)
O 0.5726 0.7595 0.1768 (multiplicity 1)
O 0.5768 0.1085 0.1066 (multiplicity 1)
O 0.5791 0.9090 0.4990 (multiplicity 1)
O 0.5809 0.7364 0.5052 (multiplicity 1)
O 0.5822 0.0958 0.5055 (multiplicity 1)
O 0.5905 0.7707 0.7727 (multiplicity 1)
O 0.6003 0.2181 0.8354 (multiplicity 1)
O 0.6109 0.5615 0.1691 (multiplicity 1)
O 0.6368 0.9132 0.8221 (multiplicity 1)
O 0.6384 0.0930 0.2271 (multiplicity 1)
O 0.6426 0.4311 0.5650 (multiplicity 1)
O 0.6426 0.7578 0.8917 (multiplicity 1)
O 0.6462 0.5796 0.4918 (multiplicity 1)
O 0.6509 0.2462 0.1562 (multiplicity 1)
O 0.7165 0.5773 0.9878 (multiplicity 1)
O 0.7180 0.4306 0.0634 (multiplicity 1)
O 0.7244 0.0878 0.7249 (multiplicity 1)
O 0.7274 0.2428 0.6567 (multiplicity 1)
O 0.7274 0.9139 0.3210 (multiplicity 1)
O 0.7341 0.7579 0.3933 (multiplicity 1)
O 0.7553 0.5613 0.6711 (multiplicity 1)
O 0.7592 0.2323 0.3363 (multiplicity 1)
O 0.7625 0.9001 0.0030 (multiplicity 1)
O 0.7808 0.4296 0.9479 (multiplicity 1)
O 0.7841 0.7687 0.2748 (multiplicity 1)
O 0.7984 0.7348 0.0000 (multiplicity 1)
O 0.8014 0.8986 0.7159 (multiplicity 1)
O 0.8017 0.3954 0.6679 (multiplicity 1)
O 0.8038 0.0663 0.3315 (multiplicity 1)
O 0.8044 0.0964 0.6105 (multiplicity 1)
O 0.8094 0.7563 0.6819 (multiplicity 1)
O 0.8099 0.0919 0.0041 (multiplicity 1)
O 0.8101 0.5476 0.3900 (multiplicity 1)
O 0.8139 0.4237 0.3337 (multiplicity 1)
O 0.8136 0.8750 0.6121 (multiplicity 1)
O 0.8193 0.2207 0.9445 (multiplicity 1)
O 0.8259 0.2227 0.0522 (multiplicity 1)
O 0.8356 0.5572 0.2820 (multiplicity 1)
O 0.8411 0.0114 0.8421 (multiplicity 1)
O 0.8438 0.6748 0.5051 (multiplicity 1)
O 0.8574 0.3525 0.1756 (multiplicity 1)
O 0.8825 0.3151 0.5612 (multiplicity 1)
O 0.8853 0.9835 0.2252 (multiplicity 1)
O 0.8858 0.3294 0.4416 (multiplicity 1)
O 0.8935 0.3304 0.8370 (multiplicity 1)
O 0.8933 0.6675 0.1840 (multiplicity 1)
O 0.8937 0.6405 0.8935 (multiplicity 1)
O 0.8976 0.0027 0.5137 (multiplicity 1)
O 0.9014 0.9940 0.1048 (multiplicity 1)
O 0.9019 0.6672 0.7848 (multiplicity 1)
O 0.9582 0.5027 0.6031 (multiplicity 1)
O 0.9658 0.1465 0.4032 (multiplicity 1)
O 0.9660 0.8173 0.0696 (multiplicity 1)
O 0.9677 0.5034 0.0127 (multiplicity 1)
O 0.9712 0.1656 0.6821 (multiplicity 1)
O 0.9713 0.8398 0.3421 (multiplicity 1)
O 0.9896 0.4814 0.7219 (multiplicity 1)
O 0.9940 0.1768 0.2875 (multiplicity 1)
O 0.9947 0.8447 0.9525 (multiplicity 1)

Material: La2Ni4Ge3P
Method: DFT, GGA-PBE
State: relaxed

ρ	7443	kg/m3
total magnetic moment	0.07	μB per cell
ΔE_f	-7.733	eV/f.u.
DFT total energy	-0.221	hartree per atom

Cell lengths 4.1598, 4.1598, 9.8171 Å; angles 90.00, 90.00, 90.00 degrees
Space group P4mm (No. 99)
One atom of each set of equivalent atoms:
La 0.0000 0.0000 0.0000 (multiplicity 1)
La 0.5000 0.5000 0.4918 (multiplicity 1)
Ni 0.0000 0.5000 0.2363 (multiplicity 2)
Ni 0.0000 0.5000 0.7469 (multiplicity 2)
Ge 0.0000 0.0000 0.3619 (multiplicity 1)
Ge 0.0000 0.0000 0.6276 (multiplicity 1)
Ge 0.5000 0.5000 0.8626 (multiplicity 1)
P 0.5000 0.5000 0.1342 (multiplicity 1)

Material: La5Ge3O
Method: DFT, GGA-PBE
State: relaxed

ρ	6555	kg/m3
ΔE_f	-12.001	eV/f.u.
DFT total energy	-0.224	hartree per atom

Cell lengths 9.0523, 9.0523, 6.6288 Å; angles 90.00, 90.00, 120.00 degrees
Space group P6_3/mcm (No. 193)
One atom of each set of equivalent atoms:
La 0.0000 0.2288 0.2500 (multiplicity 6)
La 0.3333 0.6667 0.0000 (multiplicity 4)
Ge 0.0000 0.3951 0.7500 (multiplicity 6)
O 0.0000 0.0000 0.0000 (multiplicity 2)

Material: La15Ge9O
Method: DFT, GGA-PBE
State: relaxed

ρ	6332	kg/m3
total magnetic moment	3.26	μB per cell
ΔE_f	-23.293	eV/f.u.
DFT total energy	-0.211	hartree per atom

Cell lengths 15.5509, 15.5509, 6.8954 Å; angles 90.00, 90.00, 120.00 degrees
Space group P6_3mc (No. 186)
One atom of each set of equivalent atoms:
La 0.0184 0.3431 0.0000 (multiplicity 12)
La 0.0825 0.1650 0.2779 (multiplicity 6)
La 0.1723 0.5861 0.2630 (multiplicity 6)
La 0.2539 0.5078 0.7126 (multiplicity 6)
Ge 0.0664 0.5332 0.7343 (multiplicity 6)
Ge 0.1321 0.2641 0.7211 (multiplicity 6)
Ge 0.2000 0.4001 0.2877 (multiplicity 6)
O 0.3333 0.6667 0.4880 (multiplicity 2)